# Li3MnO3 GGA+U relaxed
# crystal system = monoclinic
# volume = 9.92 Å³ per atom
# energy of formation = -2048 meV/atom
# energy relative to the lowest polymorph listed for this composition = 0.053 eV per atom
data_Li3MnO3
_cell_length_a 5.579
_cell_length_b 9.955
_cell_length_c 5.169
_cell_angle_alpha 90.00
_cell_angle_beta 104.73
_cell_angle_gamma 90.00
_space_group_name_H-M_alt 'P 1 21/c 1'
_space_group_IT_number 14
loop_
_space_group_symop_operation_xyz
'x,y,z'
'-x,-y,-z'
'-x,y+1/2,-z+1/2'
'x,-y+1/2,z+1/2'
loop_
_atom_site_label
_atom_site_fract_x
_atom_site_fract_y
_atom_site_fract_z
Li1 0.070 0.243 0.067
Li2 0.169 0.004 0.634
Li3 0.410 0.718 0.060
Mn1 0.321 0.003 0.170
O1 0.096 0.619 0.763
O2 0.266 0.135 0.405
O3 0.394 0.607 0.386